Entry 1:
Below is crystalline In2CuSe3Br at its relaxed geometry, with properties calculated at the PBE-GGA level.

Symmetry: P1, No. 1
Raw total energy in eV per cell: -25.09

a b c (Å): 5.8410 5.9006 7.2043
angles (deg): 114.03 113.35 90.27
Last column: nearest neighbours and their distance in Å.
Positions (direct):
1 Se 0.6242 0.1524 0.7361  1 Cu 2.40, 2 In 2.61-2.62
2 In 0.2549 0.7530 0.4717  3 Se 2.61-2.62, 1 Br 2.79
3 Cu 0.5341 0.4736 0.0199  3 Se 2.40-2.41
4 Se 0.4048 0.3573 0.2534  1 Cu 2.41, 2 In 2.61-2.63
5 In 0.9746 0.0235 0.0143  3 Se 2.61-2.63, 1 Br 2.78
6 Se 0.8335 0.8724 0.2543  1 Cu 2.41, 2 In 2.62
7 Br 0.1240 0.6178 0.7504  2 In 2.78-2.79, 1 Cu 2.81



Entry 2:
Below is crystalline In2CuTe3Br at its relaxed geometry, with properties calculated at the PBE-GGA level.

Symmetry: P1, No. 1
Raw total energy in eV per cell: -22.99
ΔE to the lowest computed polymorph in eV per atom: 0.0000

a b c (Å): 6.2252 6.2064 7.5574
angles (deg): 67.04 65.73 90.70
Last column: nearest neighbours and their distance in Å.
Positions (direct):
1 Te 0.3787 0.8256 0.7417  1 Cu 2.57, 2 In 2.82
2 In 0.9975 0.9841 0.9893  3 Te 2.82, 1 Br 2.82
3 In 0.7334 0.2482 0.5212  3 Te 2.81-2.82, 1 Br 2.83
4 Cu 0.5274 0.5213 0.9878  3 Te 2.57-2.58, 1 Br 2.80
5 Br 0.1329 0.1367 0.2418  1 Cu 2.80, 2 In 2.82-2.83
6 Te 0.9007 0.4139 0.7477  1 Cu 2.58, 2 In 2.81-2.82
7 Te 0.5794 0.6201 0.2705  1 Cu 2.58, 2 In 2.82



Entry 3:
Below is crystalline CuIrBr at its relaxed geometry, with properties calculated at the PBE-GGA level.

Symmetry: F-43m, No. 216
Raw total energy in eV per cell: -11.04

a b c (Å): 4.2528 4.2528 4.2528
angles (deg): 60.00 60.00 60.00
Last column: nearest neighbours and their distance in Å.
Positions (direct):
1 Cu 0.7500 0.7500 0.7500  4 Br 2.60, 4 Ir 2.60
2 Ir 0.0000 0.0000 0.0000  4 Cu 2.60
3 Br 0.5000 0.5000 0.5000  4 Cu 2.60



Entry 4:
Below is crystalline K2CuBr3 at its relaxed geometry, with properties calculated at the PBE-GGA level.

Symmetry: Pnma, No. 62
Raw total energy in eV per cell: -75.19

a b c (Å): 4.3610 12.8137 13.3873
angles (deg): 90.00 90.00 90.00
Last column: nearest neighbours and their distance in Å.
Positions (direct):
1 Br 0.7500 0.3675 0.4452  1 Cu 2.46
2 Cu 0.2500 0.2545 0.8036  4 Br 2.46-2.55
3 K 0.7500 0.9880 0.8218  7 Br 3.30-3.48
4 Br 0.7500 0.0615 0.3610  1 Cu 2.48
5 K 0.7500 0.4880 0.6782  7 Br 3.30-3.48
6 Br 0.7500 0.7253 0.7904  2 Cu 2.55
7 Cu 0.7500 0.7455 0.1964  4 Br 2.46-2.55
8 Br 0.2500 0.2747 0.2096  2 Cu 2.55
9 K 0.2500 0.5120 0.3218  7 Br 3.30-3.48
10 Br 0.2500 0.9385 0.6390  1 Cu 2.48
11 Br 0.7500 0.8675 0.0548  1 Cu 2.46
12 Br 0.2500 0.4385 0.8610  1 Cu 2.48
13 Br 0.2500 0.7747 0.2904  2 Cu 2.55
14 Br 0.7500 0.2253 0.7096  2 Cu 2.55
15 K 0.7500 0.8240 0.4842  7 Br 3.35-3.46, 2 Cu 3.69
16 K 0.2500 0.1760 0.5158  7 Br 3.35-3.46, 2 Cu 3.69
17 K 0.2500 0.6760 0.9842  7 Br 3.35-3.46, 2 Cu 3.69
18 K 0.2500 0.0120 0.1782  7 Br 3.30-3.48
19 K 0.7500 0.3240 0.0158  7 Br 3.35-3.46, 2 Cu 3.69
20 Br 0.7500 0.5615 0.1390  1 Cu 2.48
21 Br 0.2500 0.1325 0.9452  1 Cu 2.46
22 Cu 0.2500 0.7545 0.6964  4 Br 2.46-2.55
23 Cu 0.7500 0.2455 0.3036  4 Br 2.46-2.55
24 Br 0.2500 0.6325 0.5548  1 Cu 2.46



Entry 5:
Below is crystalline K2Li2CuBr2O2 at its relaxed geometry, with properties calculated at the PBE-GGA level.

Symmetry: I4/mmm, No. 139
Raw total energy in eV per cell: -33.47

a b c (Å): 12.1782 12.1782 12.1782
angles (deg): 160.52 160.52 27.68
Last column: nearest neighbours and their distance in Å.
Positions (direct):
1 O 0.5000 0.0000 0.5000  2 Cu 2.06
2 Br 0.3113 0.3113 0.0000  4 Li 2.52
3 K 0.0687 0.0687 0.0000  4 O 2.62
4 O 0.0000 0.5000 0.5000  2 Cu 2.06
5 Li 0.2500 0.7500 0.5000  4 Br 2.52
6 Cu 0.5000 0.5000 0.0000  4 O 2.06
7 Li 0.7500 0.2500 0.5000  4 Br 2.52
8 Br 0.6887 0.6887 0.0000  4 Li 2.52
9 K 0.9313 0.9313 0.0000  4 O 2.62



Entry 6:
Below is crystalline K2CuMoBr6 at its relaxed geometry, with properties calculated at the PBE-GGA level.

Symmetry: Fm-3m, No. 225
Raw total energy in eV per cell: -36.02

a b c (Å): 7.4924 7.4924 7.4924
angles (deg): 60.00 60.00 60.00
Last column: nearest neighbours and their distance in Å.
Positions (direct):
1 Br 0.2482 0.2482 0.7518  1 Mo 2.63, 1 Cu 2.67
2 Br 0.7518 0.2482 0.7518  1 Mo 2.63, 1 Cu 2.67
3 Br 0.2482 0.7518 0.7518  1 Mo 2.63, 1 Cu 2.67
4 K 0.2500 0.2500 0.2500  12 Br 3.75
5 Br 0.7518 0.2482 0.2482  1 Mo 2.63, 1 Cu 2.67
6 K 0.7500 0.7500 0.7500  12 Br 3.75
7 Br 0.2482 0.7518 0.2482  1 Mo 2.63, 1 Cu 2.67
8 Cu 0.5000 0.5000 0.5000  6 Br 2.67
9 Mo 0.0000 0.0000 0.0000  6 Br 2.63
10 Br 0.7518 0.7518 0.2482  1 Mo 2.63, 1 Cu 2.67



Entry 7:
Below is crystalline K2NdCuBr6 at its relaxed geometry, with properties calculated at the PBE-GGA level.

Symmetry: Fm-3m, No. 225
Raw total energy in eV per cell: -35.39

a b c (Å): 7.8529 7.8529 7.8529
angles (deg): 60.00 60.00 60.00
Last column: nearest neighbours and their distance in Å.
Positions (direct):
1 K 0.7500 0.7500 0.7500  12 Br 3.93
2 Br 0.7590 0.7590 0.2410  1 Cu 2.68, 1 Nd 2.88
3 K 0.2500 0.2500 0.2500  12 Br 3.93
4 Br 0.7590 0.2410 0.2410  1 Cu 2.68, 1 Nd 2.88
5 Cu 0.0000 0.0000 0.0000  6 Br 2.68
6 Br 0.7590 0.2410 0.7590  1 Cu 2.68, 1 Nd 2.88
7 Br 0.2410 0.7590 0.2410  1 Cu 2.68, 1 Nd 2.88
8 Br 0.2410 0.2410 0.7590  1 Cu 2.68, 1 Nd 2.88
9 Nd 0.5000 0.5000 0.5000  6 Br 2.88
10 Br 0.2410 0.7590 0.7590  1 Cu 2.68, 1 Nd 2.88



Entry 8:
Below is crystalline K2PrCuBr6 at its relaxed geometry, with properties calculated at the PBE-GGA level.

Symmetry: Fm-3m, No. 225
Raw total energy in eV per cell: -35.37

a b c (Å): 7.8833 7.8833 7.8833
angles (deg): 60.00 60.00 60.00
Last column: nearest neighbours and their distance in Å.
Positions (direct):
1 K 0.2500 0.2500 0.2500  12 Br 3.94
2 Br 0.2401 0.7599 0.7599  1 Cu 2.68, 1 Pr 2.90
3 Br 0.2401 0.2401 0.7599  1 Cu 2.68, 1 Pr 2.90
4 Br 0.7599 0.2401 0.7599  1 Cu 2.68, 1 Pr 2.90
5 Br 0.7599 0.7599 0.2401  1 Cu 2.68, 1 Pr 2.90
6 Br 0.2401 0.7599 0.2401  1 Cu 2.68, 1 Pr 2.90
7 Pr 0.5000 0.5000 0.5000  6 Br 2.90
8 K 0.7500 0.7500 0.7500  12 Br 3.94
9 Br 0.7599 0.2401 0.2401  1 Cu 2.68, 1 Pr 2.90
10 Cu 0.0000 0.0000 0.0000  6 Br 2.68



Which formula does entry 6 have?
K2CuMoBr6